The following is a r2SCAN calculation of a relaxed La2W2O9 crystal, from the Materials Project database.

Structure (POSCAR):
```
La2W2O9
1.0
-7.0437 -0.0130 -0.0150
-0.8441 -7.2519 0.0265
-0.6545 -2.3644 6.8855
La W O
4 4 18
Direct
0.8431 0.7411 0.8477
0.1569 0.2589 0.1523
0.3765 0.7270 0.5904
0.6235 0.2730 0.4095
0.1571 0.2033 0.6452
0.8429 0.7967 0.3548
0.7228 0.2698 0.9394
0.2772 0.7302 0.0606
0.3471 0.3508 0.6459
0.6529 0.6492 0.3541
0.0136 0.2753 0.8476
0.9864 0.7247 0.1524
0.4921 0.7697 0.9036
0.5079 0.2303 0.0964
0.6596 0.4905 0.7446
0.3404 0.5095 0.2554
0.2723 0.9148 0.1793
0.7277 0.0852 0.8207
0.8121 0.4185 0.0899
0.1879 0.5815 0.9101
0.9771 0.2938 0.4649
0.0229 0.7062 0.5351
0.8561 0.0563 0.1986
0.1439 0.9437 0.8014
0.3184 0.0961 0.4712
0.6816 0.9039 0.5288
```

Summary:
As for the space-group type: P-1 (2).

The following is a r2SCAN calculation of a relaxed La2W3O12 crystal, from the Materials Project database.

Structure (POSCAR):
```
La2W3O12
1.0
5.9188 3.9612 0.0087
-5.9188 3.9612 0.0087
0.0000 3.8863 11.0435
La W O
4 6 24
Direct
0.0550 0.3077 0.4037
0.6923 0.9450 0.0963
0.9450 0.6923 0.5963
0.3077 0.0550 0.9037
0.2007 0.4933 0.0453
0.5067 0.7993 0.4547
0.7993 0.5067 0.9547
0.4933 0.2007 0.5453
0.1177 0.8823 0.2500
0.8823 0.1177 0.7500
0.6706 0.0952 0.4278
0.9048 0.3294 0.0722
0.3294 0.9048 0.5722
0.0952 0.6706 0.9278
0.2305 0.6286 0.4622
0.3714 0.7695 0.0378
0.7695 0.3714 0.5378
0.6286 0.2305 0.9622
0.2014 0.3566 0.1903
0.6434 0.7986 0.3097
0.7986 0.6434 0.8097
0.3566 0.2014 0.6903
0.0133 0.6040 0.2799
0.3960 0.9867 0.2201
0.9867 0.3960 0.7201
0.6040 0.0133 0.7799
0.4019 0.3261 0.4396
0.6739 0.5981 0.0604
0.5981 0.6739 0.5604
0.3261 0.4019 0.9396
0.0274 0.9470 0.3865
0.0530 0.9726 0.1135
0.9726 0.0530 0.6135
0.9470 0.0274 0.8865
```

Summary:
As for the space-group type: C2/c (15).

The following is a r2SCAN calculation of a relaxed LaOs2 crystal, from the Materials Project database.

Structure (POSCAR):
```
LaOs2
1.0
4.7356 0.0000 2.7341
1.5785 4.4648 2.7341
0.0000 0.0000 5.4682
La Os
2 4
Direct
0.8750 0.8750 0.8750
0.1250 0.1250 0.1250
0.5000 0.5000 0.5000
0.5000 0.5000 0.0000
0.0000 0.5000 0.5000
0.5000 0.0000 0.5000
```

Summary:
As for the space-group type: Fd-3m (227).

The following is a r2SCAN calculation of a relaxed LaOs2 crystal, from the Materials Project database.

Structure (POSCAR):
```
LaOs2
1.0
-2.6763 -4.6246 0.0000
-2.6763 4.6246 0.0000
0.0000 0.0000 -9.3268
La Os
4 8
Direct
0.6666 0.3334 0.5651
0.3334 0.6666 0.4349
0.3334 0.6666 0.0651
0.6666 0.3334 0.9349
0.0000 0.0000 0.5000
0.0000 0.0000 0.0000
0.1690 0.3384 0.7500
0.1692 0.8308 0.7500
0.6616 0.8310 0.7500
0.8310 0.6616 0.2500
0.8308 0.1692 0.2500
0.3384 0.1690 0.2500
```

Summary:
As for the space-group type: Cmcm (63).

The following is a r2SCAN calculation of a relaxed LaOs2Rh crystal, from the Materials Project database.

Structure (POSCAR):
```
LaOs2Rh
1.0
0.0000 3.3057 3.3057
3.3057 0.0000 3.3057
3.3057 3.3057 0.0000
La Os Rh
1 2 1
Direct
0.0000 0.0000 0.0000
0.2500 0.2500 0.2500
0.7500 0.7500 0.7500
0.5000 0.5000 0.5000
```

Summary:
As for the space-group type: Fm-3m (225).

The following is a r2SCAN calculation of a relaxed LaSi3Os crystal, from the Materials Project database.

Structure (POSCAR):
```
LaSi3Os
1.0
-2.1429 2.1429 4.9899
2.1429 -2.1429 4.9899
2.1429 2.1429 -4.9899
La Si Os
1 3 1
Direct
0.9986 0.9986 0.0000
0.4193 0.4193 0.0000
0.2604 0.7604 0.5000
0.7604 0.2604 0.5000
0.6554 0.6554 0.0000
```

Summary:
As for the space-group type: I4mm (107).

Number 1: calculated formation energy -3.027 eV/atom. Number 2: calculated formation energy -2.849 eV/atom. Number 3: calculated formation energy -0.078 eV/atom. Number 4: calculated formation energy -0.111 eV/atom. Number 5: calculated formation energy 0.737 eV/atom. Number 6: calculated formation energy -0.686 eV/atom.